Record 1
First-principles (PBE-GGA) data for a relaxed structure of Na5PrO6, as listed in the Materials Project database.

Unit cell a=6.0273 b=6.0273 c=11.3638 alpha=94.76 beta=94.76 gamma=120.27
Fractional positions:
Na (0.1742, 0.3263, 0.5023)
Na (0.6737, 0.8258, 0.9977)
O (0.5997, 0.1062, 0.8688)
O (0.4780, 0.2890, 0.3697)
O (0.7110, 0.5220, 0.1303)
Na (0.9161, 0.0839, 0.7500)
Na (0.0839, 0.9161, 0.2500)
O (0.8938, 0.4003, 0.6312)
Na (0.5000, 0.0000, 0.5000)
Na (0.0000, 0.5000, 0.0000)
Na (0.8258, 0.6737, 0.4977)
Na (0.4199, 0.5801, 0.2500)
Pr (0.2475, 0.7525, 0.7500)
O (0.4003, 0.8938, 0.1312)
O (0.9743, 0.7923, 0.8712)
Pr (0.7525, 0.2475, 0.2500)
Na (0.5801, 0.4199, 0.7500)
O (0.0257, 0.2077, 0.1288)
O (0.7923, 0.9743, 0.3712)
O (0.5220, 0.7110, 0.6303)
Na (0.3263, 0.1742, 0.0023)
O (0.1062, 0.5997, 0.3688)
O (0.2077, 0.0257, 0.6288)
O (0.2890, 0.4780, 0.8697)

Computed properties:
- energy of formation from the pure elements (meV per atom) = -1688
- SG = No. 15



Record 2
First-principles (PBE-GGA) data for a relaxed structure of CaEuSi4, as listed in the Materials Project database.

Unit cell a=7.4265 b=7.4265 c=7.4265 alpha=146.61 beta=146.61 gamma=47.95
Fractional positions:
Si (0.4155, 0.4155, 0.0000)
Si (0.6654, 0.1654, 0.5000)
Ca (0.2500, 0.7500, 0.5000)
Si (0.5845, 0.5845, 0.0000)
Si (0.8346, 0.3346, 0.5000)
Eu (0.0000, 0.0000, 0.0000)

Computed properties:
- energy of formation from the pure elements (meV per atom) = -397
- SG = No. 119



Record 3
First-principles (PBE-GGA) data for a relaxed structure of Na4Ca2Sc2SiS5O24, as listed in the Materials Project database.

Unit cell a=9.1382 b=9.1090 c=23.2922 alpha=89.99 beta=90.03 gamma=119.86
Fractional positions:
O (0.8716, 0.5214, 0.4223)
O (0.4605, 0.3021, 0.7429)
O (0.5195, 0.8397, 0.0734)
S (0.3590, 0.3370, 0.0819)
O (0.8910, 0.3613, 0.6385)
O (0.1402, 0.4846, 0.5796)
O (0.1185, 0.6559, 0.3628)
S (0.6640, 0.0181, 0.0822)
O (0.3367, 0.4583, 0.3666)
O (0.8347, 0.5596, 0.0378)
Na (0.3145, 0.6605, 0.1600)
S (0.2880, 0.2814, 0.7489)
O (0.5161, 0.8475, 0.7470)
O (0.8044, 0.9946, 0.6871)
O (0.9940, 0.2106, 0.3023)
O (0.3114, 0.8543, 0.9628)
O (0.4856, 0.3504, 0.4196)
O (0.4747, 0.1363, 0.9203)
O (0.6934, 0.5352, 0.2455)
Na (0.0227, 0.0054, 0.5041)
O (0.5390, 0.6904, 0.2468)
O (0.0408, 0.8313, 0.4198)
O (0.6947, 0.5671, 0.5323)
O (0.1425, 0.6827, 0.7534)
O (0.8097, 0.8305, 0.9135)
O (0.2959, 0.4473, 0.7525)
O (0.6387, 0.1281, 0.4220)
O (0.1480, 0.4611, 0.9626)
Sc (0.9998, 0.9944, 0.6480)
Sc (0.6574, 0.3185, 0.6810)
Ca (0.6753, 0.3393, 0.9872)
O (0.9151, 0.5444, 0.1479)
O (0.8058, 0.7906, 0.2990)
Si (0.7084, 0.0048, 0.7447)
O (0.4655, 0.1476, 0.2460)
O (0.0182, 0.8133, 0.6990)
O (0.8321, 0.0317, 0.8012)
O (0.3554, 0.8402, 0.5789)
S (0.9911, 0.7054, 0.7502)
O (0.0299, 0.1954, 0.9122)
O (0.1703, 0.9985, 0.5940)
O (0.1833, 0.9946, 0.2027)
O (0.3297, 0.4670, 0.4712)
O (0.7938, 0.9737, 0.4211)
S (0.3256, 0.9669, 0.9136)
O (0.3424, 0.8936, 0.8587)
Si (0.3584, 0.0265, 0.5815)
S (0.7077, 0.7056, 0.2469)
S (0.6252, 0.9579, 0.4208)
O (0.1668, 0.9770, 0.9124)
O (0.8177, 0.9993, 0.0902)
O (0.1642, 0.6683, 0.0716)
O (0.5349, 0.8598, 0.4740)
O (0.8673, 0.3411, 0.9188)
O (0.2119, 0.1759, 0.8010)
O (0.6278, 0.0851, 0.1341)
S (0.2943, 0.0023, 0.2513)
O (0.0013, 0.8402, 0.0939)
Sc (0.9807, 0.9980, 0.8518)
O (0.4277, 0.2977, 0.0312)
S (0.6657, 0.6339, 0.5853)
S (0.0429, 0.6676, 0.4170)
Sc (0.0062, 0.0038, 0.1476)
O (0.1850, 0.1946, 0.6976)
Na (0.3729, 0.9968, 0.7509)
O (0.8437, 0.3166, 0.2485)
O (0.6490, 0.5285, 0.6360)
S (0.9689, 0.3345, 0.5858)
O (0.4302, 0.1266, 0.5220)
S (0.3334, 0.3718, 0.4196)
Na (0.3385, 0.0389, 0.4259)
O (0.2949, 0.8378, 0.2486)
Na (0.6601, 0.9773, 0.5914)
O (0.1521, 0.6757, 0.4671)
O (0.6615, 0.5223, 0.9195)
S (0.0382, 0.3650, 0.9131)
Ca (0.3402, 0.6626, 0.3122)
O (0.8105, 0.8109, 0.5918)
S (0.9965, 0.2970, 0.2487)
O (0.5092, 0.6493, 0.5817)
Na (0.3548, 0.6802, 0.6668)
Na (0.9974, 0.6320, 0.2369)
O (0.4661, 0.3702, 0.1332)
Ca (0.3494, 0.6743, 0.8158)
O (0.1811, 0.1974, 0.4223)
Ca (0.6630, 0.3358, 0.4866)
O (0.1840, 0.1952, 0.0919)
S (0.6383, 0.6711, 0.9178)
O (0.6973, 0.1850, 0.7423)
Na (0.0163, 0.9939, 0.0018)
O (0.7994, 0.8051, 0.1947)
Sc (0.3166, 0.6686, 0.0162)
Ca (0.6705, 0.3299, 0.1761)
O (0.2209, 0.0142, 0.3068)
O (0.5254, 0.8719, 0.3695)
Si (0.9762, 0.6452, 0.0876)
O (0.5561, 0.6875, 0.9709)
O (0.1487, 0.4709, 0.2463)
Na (0.6661, 0.3335, 0.3290)
O (0.3511, 0.4970, 0.0725)
O (0.8618, 0.3063, 0.5355)
O (0.8387, 0.5355, 0.7443)
Na (0.9923, 0.3566, 0.7564)
Sc (0.3287, 0.6685, 0.5210)
O (0.0013, 0.2019, 0.1978)
O (0.1114, 0.4542, 0.8582)
Na (0.6663, 0.3369, 0.8427)
O (0.9769, 0.7898, 0.8026)
O (0.4943, 0.1269, 0.6362)
Ca (0.9932, 0.0042, 0.3532)
O (0.9841, 0.1790, 0.5914)
O (0.5397, 0.6576, 0.8665)
O (0.6906, 0.1213, 0.0311)
Na (0.6799, 0.6826, 0.0761)

Computed properties:
- energy of formation from the pure elements (meV per atom) = -2596
- SG = No. 1



Record 4
First-principles (PBE-GGA) data for a relaxed structure of LuPd3, as listed in the Materials Project database.

Unit cell a=4.0815 b=4.0815 c=4.0815 alpha=90.00 beta=90.00 gamma=90.00
Fractional positions:
Pd (0.5000, 0.5000, 0.0000)
Pd (0.0000, 0.5000, 0.5000)
Pd (0.5000, 0.0000, 0.5000)
Lu (0.0000, 0.0000, 0.0000)

Computed properties:
- energy of formation from the pure elements (meV per atom) = -938
- SG = No. 221



Record 5
First-principles (PBE-GGA) data for a relaxed structure of Li17Cl5O6, as listed in the Materials Project database.

Unit cell a=3.8364 b=5.5792 c=16.7433 alpha=93.16 beta=90.00 gamma=90.00
Fractional positions:
Li (0.5000, 0.6789, 0.4354)
Cl (0.0000, 0.5384, 0.1612)
Li (0.5000, 0.7172, 0.7528)
O (0.5000, 0.0442, 0.1738)
O (0.5000, 0.5152, 0.9983)
O (0.5000, 0.9370, 0.5103)
Li (0.5000, 0.2073, 0.7416)
O (0.5000, 0.5705, 0.3249)
Li (0.5000, 0.7295, 0.5942)
Li (0.5000, 0.2666, 0.9098)
Li (0.5000, 0.7565, 0.9164)
Li (0.0000, 0.4602, 0.6640)
Li (0.0000, 0.9736, 0.5036)
Li (0.0000, 0.0418, 0.1590)
O (0.5000, 0.9905, 0.8362)
Cl (0.0000, 0.0144, 0.0095)
Li (0.5000, 0.3334, 0.2407)
Li (0.5000, 0.2734, 0.0779)
Li (0.0000, 0.5152, 0.9965)
Li (0.5000, 0.2405, 0.5669)
Li (0.5000, 0.7714, 0.0829)
Cl (0.0000, 0.4415, 0.4933)
Cl (0.0000, 0.9601, 0.6776)
Li (0.0000, 0.5263, 0.3431)
O (0.5000, 0.4629, 0.6658)
Cl (0.0000, 0.4915, 0.8363)
Li (0.5000, 0.8010, 0.2493)
Li (0.0000, 0.9908, 0.8286)

Computed properties:
- energy of formation from the pure elements (meV per atom) = -1908
- SG = No. 6



Record 6
First-principles (PBE-GGA) data for a relaxed structure of Li7SiPO8, as listed in the Materials Project database.

Unit cell a=5.1036 b=6.5912 c=10.5873 alpha=89.90 beta=88.51 gamma=89.76
Fractional positions:
O (0.7403, 0.5474, 0.8543)
Li (0.3602, 0.0233, 0.8140)
O (0.1807, 0.7506, 0.4056)
Li (0.6513, 0.9903, 0.1856)
P (0.3478, 0.2533, 0.0772)
Li (0.5579, 0.0326, 0.5037)
Li (0.1523, 0.0325, 0.3371)
O (0.2272, 0.2510, 0.9419)
O (0.7639, 0.7482, 0.0565)
O (0.8260, 0.2362, 0.5848)
Li (0.8784, 0.1335, 0.9439)
P (0.6466, 0.7462, 0.9191)
O (0.2447, 0.4506, 0.1430)
O (0.2525, 0.0340, 0.6495)
Li (0.9384, 0.4691, 0.0102)
Li (0.1577, 0.7892, 0.0891)
O (0.7741, 0.5440, 0.3362)
Si (0.1508, 0.2474, 0.5819)
Li (0.6117, 0.5433, 0.1878)
Li (0.8366, 0.5167, 0.6686)
Li (0.8751, 0.9569, 0.6679)
O (0.3420, 0.7502, 0.9252)
O (0.2665, 0.0571, 0.1487)
O (0.2258, 0.4581, 0.6570)
O (0.2879, 0.2509, 0.4383)
O (0.7286, 0.7481, 0.5588)
O (0.7379, 0.9378, 0.8453)
Li (0.1534, 0.4714, 0.3338)
Li (0.6323, 0.3668, 0.4535)
Li (0.3329, 0.7116, 0.5688)
O (0.6547, 0.2604, 0.0721)
Si (0.8571, 0.7508, 0.4124)
Li (0.3425, 0.4768, 0.8194)
O (0.7642, 0.9634, 0.3449)

Computed properties:
- energy of formation from the pure elements (meV per atom) = -2646
- SG = No. 1



Record 7
First-principles (PBE-GGA) data for a relaxed structure of LiMg6Cr, as listed in the Materials Project database.

Unit cell a=5.0659 b=6.2203 c=10.8525 alpha=90.00 beta=90.00 gamma=90.00
Fractional positions:
Mg (0.0000, 0.2418, 0.5868)
Mg (0.5000, 0.7545, 0.9156)
Cr (0.5000, 0.5000, 0.1658)
Li (0.0000, 0.5000, 0.3306)
Mg (0.5000, 0.2545, 0.4156)
Mg (0.0000, 0.7418, 0.0868)
Mg (0.5000, 0.5000, 0.6660)
Mg (0.5000, 0.7455, 0.4156)
Li (0.0000, 0.0000, 0.8306)
Mg (0.0000, 0.2582, 0.0868)
Mg (0.0000, 0.5000, 0.8327)
Mg (0.0000, 0.0000, 0.3327)
Mg (0.5000, 0.0000, 0.1660)
Mg (0.5000, 0.2455, 0.9156)
Mg (0.0000, 0.7582, 0.5868)
Cr (0.5000, 0.0000, 0.6658)

Computed properties:
- energy above the lowest structure with this stoichiometry (eV/atom) = 0.002
- energy of formation from the pure elements (meV per atom) = 139



Record 8
First-principles (PBE-GGA) data for a relaxed structure of LiEuO2, as listed in the Materials Project database.

Unit cell a=3.4835 b=5.4125 c=11.4797 alpha=90.00 beta=90.00 gamma=90.00
Fractional positions:
O (0.2500, 0.1998, 0.7023)
Eu (0.7500, 0.9576, 0.6395)
Li (0.7500, 0.9038, 0.9344)
O (0.7500, 0.2462, 0.4748)
O (0.2500, 0.3002, 0.2023)
Li (0.7500, 0.5962, 0.4344)
Eu (0.2500, 0.4576, 0.8605)
Eu (0.7500, 0.5424, 0.1395)
O (0.2500, 0.7462, 0.0252)
O (0.2500, 0.7538, 0.5252)
O (0.7500, 0.8002, 0.2977)
O (0.7500, 0.6998, 0.7977)
Li (0.2500, 0.0962, 0.0656)
O (0.7500, 0.2538, 0.9748)
Eu (0.2500, 0.0424, 0.3605)
Li (0.2500, 0.4038, 0.5656)

Computed properties:
- energy of formation from the pure elements (meV per atom) = -2752
- SG = No. 62



Record 9
First-principles (PBE-GGA) data for a relaxed structure of Mg9CuO10, as listed in the Materials Project database.

Unit cell a=6.6833 b=6.6833 c=10.0142 alpha=78.81 beta=78.81 gamma=26.16
Fractional positions:
O (0.5496, 0.5496, 0.8501)
Mg (0.0000, 0.0000, 0.0000)
Mg (0.6992, 0.6992, 0.9002)
Mg (0.9021, 0.9021, 0.2992)
O (0.7512, 0.7512, 0.2515)
O (0.8495, 0.8495, 0.9505)
O (0.9470, 0.9470, 0.6579)
Cu (0.5000, 0.5000, 0.5000)
O (0.2488, 0.2488, 0.7485)
Mg (0.1977, 0.1977, 0.3999)
Mg (0.8023, 0.8023, 0.6001)
O (0.3508, 0.3508, 0.4501)
O (0.1505, 0.1505, 0.0495)
Mg (0.0979, 0.0979, 0.7008)
O (0.6492, 0.6492, 0.5499)
Mg (0.3990, 0.3990, 0.8016)
O (0.4504, 0.4504, 0.1499)
Mg (0.3008, 0.3008, 0.0998)
O (0.0530, 0.0530, 0.3421)
Mg (0.6010, 0.6010, 0.1984)

Computed properties:
- energy of formation from the pure elements (meV per atom) = -2806
- SG = No. 12



Record 10
First-principles (PBE-GGA) data for a relaxed structure of CsTi8F33, as listed in the Materials Project database.

Unit cell a=8.9340 b=8.9340 c=19.5866 alpha=90.00 beta=90.00 gamma=120.00
Fractional positions:
F (0.4777, 0.5905, 0.0720)
F (0.5879, 0.1209, 0.7955)
F (0.1408, 0.2147, 0.3016)
F (0.4121, 0.5329, 0.2955)
F (0.8592, 0.0739, 0.8016)
F (0.9344, 0.1304, 0.5739)
F (0.3899, 0.1974, 0.6846)
Ti (0.3250, 0.3327, 0.2505)
F (0.4711, 0.2713, 0.3007)
F (0.9344, 0.4656, 0.1848)
F (0.2749, 0.1353, 0.1903)
F (0.4688, 0.5344, 0.6848)
Ti (0.0000, 0.0000, 0.5022)
Cs (0.6667, 0.3333, 0.9350)
Ti (0.6667, 0.3333, 0.3724)
Ti (0.3333, 0.6667, 0.8724)
F (0.5289, 0.8002, 0.8007)
F (0.5389, 0.1325, 0.4145)
F (0.0719, 0.8714, 0.4600)
F (0.1925, 0.8026, 0.1846)
F (0.8647, 0.1396, 0.1903)
F (0.0739, 0.8592, 0.3016)
F (0.8791, 0.4671, 0.7955)
F (0.4671, 0.8791, 0.2955)
F (0.4611, 0.5937, 0.9145)
F (0.7251, 0.8604, 0.6903)
Ti (0.3360, 0.9926, 0.6222)
F (0.2029, 0.4471, 0.5744)
F (0.6101, 0.8075, 0.1846)
Ti (0.0076, 0.6750, 0.2505)
F (0.5344, 0.4688, 0.1848)
F (0.1998, 0.7287, 0.8007)
F (0.1960, 0.0656, 0.5739)
F (0.8675, 0.4063, 0.4145)
Ti (0.3434, 0.0074, 0.1222)
F (0.2442, 0.7971, 0.5744)
F (0.1304, 0.9344, 0.0739)
F (0.8872, 0.4095, 0.5720)
Ti (0.9926, 0.3360, 0.1222)
Ti (0.6640, 0.6566, 0.1222)
Ti (0.6750, 0.0076, 0.7505)
F (0.8026, 0.1925, 0.6846)
Ti (0.9924, 0.6673, 0.7505)
F (0.2147, 0.1408, 0.8016)
F (0.5529, 0.7558, 0.5744)
Ti (0.6673, 0.9924, 0.2505)
F (0.1286, 0.2005, 0.4600)
F (0.9281, 0.7995, 0.9600)
F (0.4063, 0.8675, 0.9145)
F (0.5905, 0.4777, 0.5720)
F (0.5312, 0.0656, 0.1848)
F (0.8696, 0.8040, 0.5739)
F (0.1974, 0.3899, 0.1846)
F (0.8040, 0.8696, 0.0739)
F (0.2005, 0.1286, 0.9600)
F (0.8075, 0.6101, 0.6846)
F (0.4656, 0.9344, 0.6848)
F (0.2713, 0.4711, 0.8007)
F (0.9261, 0.7853, 0.8016)
Cs (0.3333, 0.6667, 0.4350)
F (0.0656, 0.5312, 0.6848)
Ti (0.3327, 0.3250, 0.7505)
F (0.1396, 0.8647, 0.6903)
F (0.1325, 0.5389, 0.9145)
F (0.8714, 0.0719, 0.9600)
F (0.5223, 0.1128, 0.5720)
F (0.7853, 0.9261, 0.3016)
F (0.5329, 0.4121, 0.7955)
F (0.8002, 0.5289, 0.3007)
Ti (0.0000, 0.0000, 0.0022)
F (0.7558, 0.5529, 0.0744)
F (0.1209, 0.5879, 0.2955)
F (0.8604, 0.7251, 0.1903)
F (0.7971, 0.2442, 0.0744)
F (0.0656, 0.1960, 0.0739)
F (0.5937, 0.4611, 0.4145)
F (0.4095, 0.8872, 0.0720)
F (0.1353, 0.2749, 0.6903)
F (0.1128, 0.5223, 0.0720)
Ti (0.6566, 0.6640, 0.6222)
F (0.4471, 0.2029, 0.0744)
F (0.7995, 0.9281, 0.4600)
Ti (0.0074, 0.3434, 0.6222)
F (0.7287, 0.1998, 0.3007)

Computed properties:
- energy of formation from the pure elements (meV per atom) = -3694
- SG = No. 159



Record 11
First-principles (PBE-GGA) data for a relaxed structure of CeNi2Sb2, as listed in the Materials Project database.

Unit cell a=5.7644 b=5.7644 c=5.7644 alpha=132.91 beta=132.91 gamma=68.79
Fractional positions:
Sb (0.7500, 0.2500, 0.5000)
Ni (0.6289, 0.6289, 0.0000)
Ni (0.3711, 0.3711, 0.0000)
Ce (0.0000, 0.0000, 0.0000)
Sb (0.2500, 0.7500, 0.5000)

Computed properties:
- energy of formation from the pure elements (meV per atom) = -534
- SG = No. 139



Repeat the ninth record exactly.
First-principles (PBE-GGA) data for a relaxed structure of Mg9CuO10, as listed in the Materials Project database.

Unit cell a=6.6833 b=6.6833 c=10.0142 alpha=78.81 beta=78.81 gamma=26.16
Fractional positions:
O (0.5496, 0.5496, 0.8501)
Mg (0.0000, 0.0000, 0.0000)
Mg (0.6992, 0.6992, 0.9002)
Mg (0.9021, 0.9021, 0.2992)
O (0.7512, 0.7512, 0.2515)
O (0.8495, 0.8495, 0.9505)
O (0.9470, 0.9470, 0.6579)
Cu (0.5000, 0.5000, 0.5000)
O (0.2488, 0.2488, 0.7485)
Mg (0.1977, 0.1977, 0.3999)
Mg (0.8023, 0.8023, 0.6001)
O (0.3508, 0.3508, 0.4501)
O (0.1505, 0.1505, 0.0495)
Mg (0.0979, 0.0979, 0.7008)
O (0.6492, 0.6492, 0.5499)
Mg (0.3990, 0.3990, 0.8016)
O (0.4504, 0.4504, 0.1499)
Mg (0.3008, 0.3008, 0.0998)
O (0.0530, 0.0530, 0.3421)
Mg (0.6010, 0.6010, 0.1984)

Computed properties:
- energy of formation from the pure elements (meV per atom) = -2806
- SG = No. 12